# 1
The following is a PBE calculation of a relaxed structure of Ba5Si3, from Materials Project.

Unit cell a=8.4153 b=8.4153 c=16.9542 alpha=90.00 beta=90.00 gamma=90.00
Fractional coordinates of all 32 atoms:
Ba (0.3077, 0.6725, 0.1067)
Ba (0.1725, 0.1923, 0.1067)
Ba (0.5000, 0.0000, 0.7292)
Ba (0.3275, 0.6923, 0.3933)
Ba (0.6725, 0.6923, 0.8933)
Ba (0.1923, 0.1725, 0.3933)
Ba (0.6725, 0.3077, 0.3933)
Ba (0.1725, 0.8077, 0.6067)
Ba (0.3275, 0.3077, 0.8933)
Ba (0.1923, 0.8275, 0.8933)
Ba (0.5000, 0.0000, 0.2292)
Ba (0.8275, 0.1923, 0.6067)
Ba (0.3077, 0.3275, 0.6067)
Ba (0.8077, 0.8275, 0.3933)
Ba (0.8077, 0.1725, 0.8933)
Ba (0.8275, 0.8077, 0.1067)
Ba (0.0000, 0.5000, 0.2708)
Ba (0.0000, 0.5000, 0.7708)
Ba (0.6923, 0.3275, 0.1067)
Ba (0.6923, 0.6725, 0.6067)
Si (0.1013, 0.1013, 0.7500)
Si (0.3987, 0.6013, 0.7500)
Si (0.0000, 0.5000, 0.9846)
Si (0.6013, 0.6013, 0.2500)
Si (0.5000, 0.0000, 0.0154)
Si (0.1013, 0.8987, 0.2500)
Si (0.6013, 0.3987, 0.7500)
Si (0.8987, 0.8987, 0.7500)
Si (0.3987, 0.3987, 0.2500)
Si (0.8987, 0.1013, 0.2500)
Si (0.5000, 0.0000, 0.5154)
Si (0.0000, 0.5000, 0.4846)

As for the corrected total energy (MP2020 scheme): -3.5340 eV/atom. The calculation puts the formation energy at -2.40 eV per formula unit. The symmetry is P4/ncc (130).


# 2
The following is a PBE calculation of a relaxed structure of KC2, from Materials Project.

Unit cell a=4.3821 b=4.3821 c=7.4507 alpha=90.00 beta=90.00 gamma=90.00
Fractional coordinates of all 6 atoms:
K (0.0000, 0.5000, 0.2458)
K (0.5000, 0.0000, 0.7542)
C (0.0000, 0.5000, 0.6615)
C (0.5000, 0.0000, 0.3385)
C (0.0000, 0.5000, 0.8313)
C (0.5000, 0.0000, 0.1687)

The calculation puts the formation energy at 3.86 eV per formula unit. The calculation puts the total magnetization at 1.00 μB per formula unit. The symmetry is P4/nmm (129). Its relative energy among the computed polymorphs is 0.0 kJ per mole of atoms.


# 3
The following is a PBE calculation of a relaxed structure of Mn2Cr13S20, from Materials Project.

Unit cell a=7.9442 b=8.1083 c=8.7681 alpha=102.40 beta=104.95 gamma=88.61
Fractional coordinates of all 35 atoms:
Mn (0.3003, 0.3000, 0.7005)
Mn (0.6997, 0.7000, 0.2995)
Cr (0.1008, 0.1013, 0.8991)
Cr (0.5000, 0.5000, 0.5000)
Cr (0.8992, 0.8987, 0.1009)
Cr (0.1346, 0.6196, 0.0649)
Cr (0.5364, 0.0194, 0.6654)
Cr (0.9362, 0.4187, 0.2658)
Cr (0.3349, 0.8186, 0.8658)
Cr (0.7335, 0.2191, 0.4663)
Cr (0.0638, 0.5813, 0.7342)
Cr (0.4636, 0.9806, 0.3346)
Cr (0.8654, 0.3804, 0.9351)
Cr (0.2665, 0.7809, 0.5337)
Cr (0.6651, 0.1814, 0.1342)
S (0.1945, 0.4828, 0.5039)
S (0.9900, 0.2814, 0.7077)
S (0.7971, 0.0781, 0.9055)
S (0.5923, 0.8842, 0.1049)
S (0.3911, 0.6801, 0.3064)
S (0.6089, 0.3199, 0.6936)
S (0.4077, 0.1158, 0.8951)
S (0.2029, 0.9219, 0.0945)
S (0.0100, 0.7186, 0.2923)
S (0.8055, 0.5172, 0.4961)
S (0.6773, 0.4491, 0.0943)
S (0.4759, 0.2494, 0.2935)
S (0.2765, 0.0489, 0.4955)
S (0.0774, 0.8504, 0.6933)
S (0.8750, 0.6487, 0.8950)
S (0.1250, 0.3513, 0.1050)
S (0.9226, 0.1496, 0.3067)
S (0.7235, 0.9511, 0.5045)
S (0.5241, 0.7506, 0.7065)
S (0.3227, 0.5509, 0.9057)

As for the corrected total energy (MP2020 scheme): -7.3856 eV/atom. The calculation puts the formation energy at -31.95 eV per formula unit. The calculation puts the total magnetization at 28.01 μB per formula unit. The symmetry is P-1 (2).


# 4
The following is a PBE calculation of a relaxed structure of Na4InGaSiP2O12, from Materials Project.

Unit cell a=9.0790 b=9.0729 c=22.1419 alpha=90.00 beta=89.83 gamma=120.04
Fractional coordinates of all 126 atoms:
Na (0.6339, 0.0005, 0.2532)
Na (0.3651, 0.3684, 0.2502)
Na (0.0013, 0.6247, 0.2503)
Na (0.6356, 0.6360, 0.7462)
Na (0.9941, 0.3613, 0.7496)
Na (0.3764, 0.0040, 0.7484)
Na (0.2976, 0.3295, 0.5826)
Na (0.0406, 0.7085, 0.5817)
Na (0.6650, 0.9643, 0.5872)
Na (0.2958, 0.9645, 0.0824)
Na (0.6739, 0.6992, 0.0837)
Na (0.0312, 0.3360, 0.0889)
Na (0.9730, 0.6732, 0.9207)
Na (0.6942, 0.0335, 0.9122)
Na (0.3333, 0.2964, 0.9166)
Na (0.9647, 0.3004, 0.4128)
Na (0.3290, 0.0302, 0.4195)
Na (0.7023, 0.6675, 0.4163)
Na (0.0033, 0.9966, 0.4994)
Na (0.0036, 0.9957, 0.0016)
Na (0.6631, 0.3244, 0.8317)
Na (0.6734, 0.3348, 0.3359)
Na (0.3254, 0.6627, 0.1686)
Na (0.3379, 0.6747, 0.6654)
In (0.9988, 0.9998, 0.8457)
In (0.6722, 0.3336, 0.1859)
In (0.6697, 0.3368, 0.9869)
In (0.3289, 0.6704, 0.0162)
In (0.3290, 0.6727, 0.5152)
In (0.3393, 0.6762, 0.8141)
Ga (0.9986, 0.9956, 0.3492)
Ga (0.0046, 0.0002, 0.6486)
Ga (0.0013, 0.9997, 0.1528)
Ga (0.6657, 0.3252, 0.6816)
Ga (0.6669, 0.3356, 0.4842)
Ga (0.3190, 0.6548, 0.3177)
Si (0.0055, 0.2887, 0.2523)
Si (0.7099, 0.0067, 0.7452)
Si (0.3737, 0.0465, 0.5838)
Si (0.9689, 0.6425, 0.0867)
Si (0.3341, 0.9726, 0.9159)
Si (0.0292, 0.6670, 0.4157)
P (0.2876, 0.9953, 0.2516)
P (0.7050, 0.7123, 0.2520)
P (0.3001, 0.2960, 0.7463)
P (0.9927, 0.6986, 0.7456)
P (0.9538, 0.3293, 0.5835)
P (0.6706, 0.6218, 0.5842)
P (0.6723, 0.0316, 0.0856)
P (0.3621, 0.3285, 0.0857)
P (0.6314, 0.6650, 0.9163)
P (0.0356, 0.3673, 0.9159)
P (0.6289, 0.9603, 0.4142)
P (0.3337, 0.3705, 0.4154)
O (0.2053, 0.0246, 0.3080)
O (0.8199, 0.7925, 0.3076)
O (0.9750, 0.1685, 0.3113)
O (0.2310, 0.1905, 0.8051)
O (0.9607, 0.7685, 0.8050)
O (0.8173, 0.0440, 0.8081)
O (0.8071, 0.9733, 0.6887)
O (0.1817, 0.2064, 0.6918)
O (0.0286, 0.8211, 0.6917)
O (0.7871, 0.8201, 0.1942)
O (0.0357, 0.2031, 0.1915)
O (0.1786, 0.9651, 0.1941)
O (0.8749, 0.3639, 0.6399)
O (0.4922, 0.1315, 0.6432)
O (0.6445, 0.5109, 0.6406)
O (0.8873, 0.5189, 0.1452)
O (0.6299, 0.1079, 0.1409)
O (0.4751, 0.3599, 0.1419)
O (0.4393, 0.2955, 0.0282)
O (0.8520, 0.5673, 0.0256)
O (0.7035, 0.1409, 0.0279)
O (0.4605, 0.1658, 0.5232)
O (0.6992, 0.5419, 0.5263)
O (0.8443, 0.3025, 0.5262)
O (0.5492, 0.6896, 0.9739)
O (0.1452, 0.4450, 0.9731)
O (0.2959, 0.8567, 0.9766)
O (0.5607, 0.8516, 0.4728)
O (0.2990, 0.4447, 0.4735)
O (0.1468, 0.7165, 0.4763)
O (0.1180, 0.6252, 0.3579)
O (0.5085, 0.8702, 0.3597)
O (0.3676, 0.4910, 0.3604)
O (0.1184, 0.4754, 0.8584)
O (0.3714, 0.8934, 0.8552)
O (0.5208, 0.6332, 0.8593)
O (0.0091, 0.8374, 0.4067)
O (0.8102, 0.9833, 0.4082)
O (0.1737, 0.1907, 0.4094)
O (0.0139, 0.1875, 0.9129)
O (0.1617, 0.9880, 0.9122)
O (0.8076, 0.8288, 0.9126)
O (0.9699, 0.1663, 0.5880)
O (0.1811, 0.0262, 0.5894)
O (0.8318, 0.8030, 0.5880)
O (0.9850, 0.8315, 0.0935)
O (0.8367, 0.0214, 0.0922)
O (0.1834, 0.1679, 0.0909)
O (0.6902, 0.1779, 0.7410)
O (0.4822, 0.3226, 0.7404)
O (0.8301, 0.5213, 0.7388)
O (0.6795, 0.5292, 0.2488)
O (0.8332, 0.3072, 0.2513)
O (0.4666, 0.1594, 0.2476)
O (0.6523, 0.5063, 0.9194)
O (0.8596, 0.3556, 0.9201)
O (0.5062, 0.1607, 0.9205)
O (0.6426, 0.1386, 0.4199)
O (0.4970, 0.3551, 0.4199)
O (0.8407, 0.4918, 0.4233)
O (0.3476, 0.4914, 0.0807)
O (0.1569, 0.6581, 0.0834)
O (0.5170, 0.8496, 0.0807)
O (0.3561, 0.8563, 0.5820)
O (0.5072, 0.6376, 0.5805)
O (0.1365, 0.4879, 0.5800)
O (0.3107, 0.8361, 0.2566)
O (0.5271, 0.6990, 0.2576)
O (0.1788, 0.4806, 0.2560)
O (0.3103, 0.4723, 0.7501)
O (0.1516, 0.6763, 0.7488)
O (0.5212, 0.8322, 0.7462)

As for the corrected total energy (MP2020 scheme): -6.6784 eV/atom. The calculation puts the formation energy at -53.55 eV per formula unit. The calculation puts the total magnetization at 0.00 μB per formula unit. The symmetry is P1 (1).


# 5
The following is a PBE calculation of a relaxed structure of LiTiP4O12, from Materials Project.

Unit cell a=13.0965 b=7.3031 c=11.5763 alpha=54.67 beta=90.00 gamma=90.00
Fractional coordinates of all 72 atoms:
Li (0.2185, 0.8785, 0.0406)
Li (0.7185, 0.1215, 0.4594)
Li (0.2815, 0.8785, 0.5406)
Li (0.7815, 0.1215, 0.9594)
Ti (0.2990, 0.5180, 0.4357)
Ti (0.7990, 0.4820, 0.0643)
Ti (0.2010, 0.5180, 0.9357)
Ti (0.7010, 0.4820, 0.5643)
P (0.6112, 0.8295, 0.2459)
P (0.1342, 0.4139, 0.6948)
P (0.9163, 0.4575, 0.7085)
P (0.8937, 0.0710, 0.2296)
P (0.3937, 0.9290, 0.2704)
P (0.4163, 0.5425, 0.7915)
P (0.6342, 0.5861, 0.8052)
P (0.1112, 0.1705, 0.2541)
P (0.8888, 0.8295, 0.7459)
P (0.3658, 0.4139, 0.1948)
P (0.5837, 0.4575, 0.2085)
P (0.6063, 0.0710, 0.7296)
P (0.1063, 0.9290, 0.7704)
P (0.0837, 0.5425, 0.2915)
P (0.8658, 0.5861, 0.3052)
P (0.3888, 0.1705, 0.7541)
O (0.8669, 0.8259, 0.2797)
O (0.9025, 0.2185, 0.8250)
O (0.4302, 0.3975, 0.7293)
O (0.3190, 0.8404, 0.2135)
O (0.6827, 0.9582, 0.1253)
O (0.1408, 0.3818, 0.8349)
O (0.6422, 0.7594, 0.3926)
O (0.8913, 0.2409, 0.0688)
O (0.5052, 0.9697, 0.2045)
O (0.0244, 0.5129, 0.6250)
O (0.2157, 0.5528, 0.5859)
O (0.3377, 0.4305, 0.9104)
O (0.8377, 0.5695, 0.5896)
O (0.0052, 0.0303, 0.2955)
O (0.7157, 0.4472, 0.9141)
O (0.3913, 0.7591, 0.4312)
O (0.5244, 0.4871, 0.8750)
O (0.1422, 0.2406, 0.1074)
O (0.6408, 0.6182, 0.6651)
O (0.1827, 0.0418, 0.3747)
O (0.8190, 0.1596, 0.2865)
O (0.9302, 0.6025, 0.7707)
O (0.3669, 0.1741, 0.2203)
O (0.4025, 0.7815, 0.6750)
O (0.5975, 0.2185, 0.3250)
O (0.6331, 0.8259, 0.7797)
O (0.0698, 0.3975, 0.2293)
O (0.1810, 0.8404, 0.7135)
O (0.8173, 0.9582, 0.6253)
O (0.3592, 0.3818, 0.3349)
O (0.8578, 0.7594, 0.8926)
O (0.4756, 0.5129, 0.1250)
O (0.6087, 0.2409, 0.5688)
O (0.2843, 0.5528, 0.0859)
O (0.9948, 0.9697, 0.7045)
O (0.1623, 0.4305, 0.4104)
O (0.6623, 0.5695, 0.0896)
O (0.7843, 0.4472, 0.4141)
O (0.9756, 0.4871, 0.3750)
O (0.4948, 0.0303, 0.7955)
O (0.1087, 0.7591, 0.9312)
O (0.3578, 0.2406, 0.6074)
O (0.8592, 0.6182, 0.1651)
O (0.3173, 0.0418, 0.8747)
O (0.6810, 0.1596, 0.7865)
O (0.5698, 0.6025, 0.2707)
O (0.0975, 0.7815, 0.1750)
O (0.1331, 0.1741, 0.7203)

As for the corrected total energy (MP2020 scheme): -7.7214 eV/atom. The calculation puts the formation energy at -48.15 eV per formula unit. The calculation puts the total magnetization at 1.00 μB per formula unit. The symmetry is P2_1/c (14). Its relative energy among the computed polymorphs is 7.8 kJ per mole of atoms.


# 6
The following is a PBE calculation of a relaxed structure of Ba2GaAsSe5, from Materials Project.

Unit cell a=9.1450 b=9.3892 c=12.7995 alpha=90.00 beta=90.00 gamma=90.00
Fractional coordinates of all 36 atoms:
Ba (0.9940, 0.1323, 0.6742)
Ba (0.5060, 0.3677, 0.1742)
Ba (0.4940, 0.8677, 0.3258)
Ba (0.0060, 0.6323, 0.8258)
Ba (0.0060, 0.8677, 0.3258)
Ba (0.4940, 0.6323, 0.8258)
Ba (0.5060, 0.1323, 0.6742)
Ba (0.9940, 0.3677, 0.1742)
Ga (0.2500, 0.8357, 0.5967)
Ga (0.2500, 0.6643, 0.0967)
Ga (0.7500, 0.1643, 0.4033)
Ga (0.7500, 0.3357, 0.9033)
As (0.2500, 0.4946, 0.5357)
As (0.2500, 0.0054, 0.0357)
As (0.7500, 0.5054, 0.4643)
As (0.7500, 0.9946, 0.9643)
Se (0.0471, 0.6699, 0.5569)
Se (0.4529, 0.8301, 0.0569)
Se (0.5471, 0.3301, 0.4431)
Se (0.9529, 0.1699, 0.9431)
Se (0.9529, 0.3301, 0.4431)
Se (0.5471, 0.1699, 0.9431)
Se (0.4529, 0.6699, 0.5569)
Se (0.0471, 0.8301, 0.0569)
Se (0.7500, 0.9583, 0.5120)
Se (0.7500, 0.5417, 0.0120)
Se (0.2500, 0.0417, 0.4880)
Se (0.2500, 0.4583, 0.9880)
Se (0.2500, 0.9009, 0.7784)
Se (0.2500, 0.5991, 0.2784)
Se (0.7500, 0.0991, 0.2216)
Se (0.7500, 0.4009, 0.7216)
Se (0.2500, 0.3979, 0.7126)
Se (0.2500, 0.1021, 0.2126)
Se (0.7500, 0.6021, 0.2874)
Se (0.7500, 0.8979, 0.7874)

As for the corrected total energy (MP2020 scheme): -4.6630 eV/atom. The calculation puts the formation energy at -12.96 eV per formula unit. The calculation puts the total magnetization at 0.00 μB per formula unit. The symmetry is Pnma (62).


# 7
The following is a PBE calculation of a relaxed structure of Ba3GeO5, from Materials Project.

Unit cell a=10.7149 b=10.7149 c=10.7149 alpha=44.25 beta=44.25 gamma=44.25
Fractional coordinates of all 27 atoms:
Ba (0.2856, 0.7550, 0.2856)
Ba (0.7183, 0.7183, 0.2343)
Ba (0.7550, 0.2856, 0.2856)
Ba (0.0101, 0.4967, 0.4967)
Ba (0.2343, 0.7183, 0.7183)
Ba (0.2856, 0.2856, 0.7550)
Ba (0.7183, 0.2343, 0.7183)
Ba (0.4967, 0.0101, 0.4967)
Ba (0.4967, 0.4967, 0.0101)
Ge (0.9990, 0.9990, 0.9990)
Ge (0.7808, 0.7808, 0.7808)
Ge (0.2150, 0.2150, 0.2150)
O (0.3564, 0.9950, 0.3564)
O (0.6229, 0.6229, 0.6229)
O (0.6402, 0.0029, 0.6402)
O (0.6402, 0.6402, 0.0029)
O (0.9377, 0.9377, 0.9377)
O (0.8422, 0.8422, 0.8422)
O (0.9950, 0.3564, 0.3564)
O (0.0029, 0.6402, 0.6402)
O (0.1528, 0.1528, 0.1528)
O (0.1398, 0.7750, 0.1398)
O (0.1398, 0.1398, 0.7750)
O (0.3564, 0.3564, 0.9950)
O (0.3826, 0.3826, 0.3826)
O (0.4998, 0.4998, 0.4998)
O (0.7750, 0.1398, 0.1398)

As for the corrected total energy (MP2020 scheme): -6.7215 eV/atom. The calculation puts the formation energy at -25.37 eV per formula unit. The calculation puts the total magnetization at 0.00 μB per formula unit. The symmetry is R3m (160). Its relative energy among the computed polymorphs is 3.3 kJ per mole of atoms.


# 8
The following is a PBE calculation of a relaxed structure of CaZn2O8, from Materials Project.

Unit cell a=8.3501 b=6.1830 c=6.6870 alpha=68.23 beta=90.00 gamma=90.00
Fractional coordinates of all 22 atoms:
Ca (0.5000, 0.5000, 0.0000)
Ca (0.0000, 0.0000, 0.0000)
Zn (0.3377, 0.3146, 0.5606)
Zn (0.8377, 0.1854, 0.4394)
Zn (0.6623, 0.6854, 0.4394)
Zn (0.1623, 0.8146, 0.5606)
O (0.3707, 0.2189, 0.8872)
O (0.8707, 0.2811, 0.1128)
O (0.6293, 0.7811, 0.1128)
O (0.1293, 0.7189, 0.8872)
O (0.5108, 0.2897, 0.3760)
O (0.0108, 0.2103, 0.6240)
O (0.4892, 0.7103, 0.6240)
O (0.9892, 0.7897, 0.3760)
O (0.3480, 0.6549, 0.5125)
O (0.8480, 0.8451, 0.4875)
O (0.6520, 0.3451, 0.4875)
O (0.1520, 0.1549, 0.5125)
O (0.2530, 0.7450, 0.0083)
O (0.7530, 0.7550, 0.9917)
O (0.7470, 0.2550, 0.9917)
O (0.2470, 0.2450, 0.0083)

As for the corrected total energy (MP2020 scheme): -4.9128 eV/atom. The calculation puts the formation energy at -9.93 eV per formula unit. The calculation puts the total magnetization at 2.00 μB per formula unit. The symmetry is P2_1/c (14).